Record 1
## Na3Ca2Nb10Si3P15O72 (PBE)

Data for a geometry-optimized Na3Ca2Nb10Si3P15O72 structure.

Cell lengths 8.8751, 8.8755, 22.9616 Å; angles 89.89, 89.90, 60.03 degrees
With the nearest neighbours (Å) after each atom.
Space group P1 (No. 1)
Symmetry-distinct sites (fractional):
Na: 0.0000 0.0000 0.0000 [1 per cell]  3 O 2.39-2.41
Na: 0.0003 0.9996 0.4980 [1 per cell]  3 O 2.40-2.42
Na: 0.3359 0.3334 0.6608 [1 per cell]  6 O 2.66-2.71
Ca: 0.0024 0.0000 0.1351 [1 per cell]  6 O 2.23-2.30
Ca: 0.0026 0.9987 0.6350 [1 per cell]  6 O 2.23-2.33
Nb: 0.0028 0.9998 0.3421 [1 per cell]  6 O 1.96-2.10
Nb: 0.0025 0.9998 0.8450 [1 per cell]  6 O 1.94-2.07
Nb: 0.3277 0.3371 0.0170 [1 per cell]  6 O 1.96-2.13
Nb: 0.3314 0.3364 0.8079 [1 per cell]  6 O 1.90-2.05
Nb: 0.3322 0.3303 0.5136 [1 per cell]  6 O 1.92-2.05
Nb: 0.3352 0.3283 0.3033 [1 per cell]  6 O 1.93-2.06
Nb: 0.6665 0.6661 0.9628 [1 per cell]  6 O 1.92-2.02
Nb: 0.6659 0.6672 0.1788 [1 per cell]  6 O 1.99-2.03
Nb: 0.6661 0.6667 0.4639 [1 per cell]  6 O 1.92-2.02
Nb: 0.6672 0.6653 0.6824 [1 per cell]  6 O 1.96-2.07
Si: 0.0520 0.3260 0.9104 [1 per cell]  4 O 1.62-1.64
Si: 0.3263 0.0490 0.4084 [1 per cell]  4 O 1.61-1.65
Si: 0.3264 0.6219 0.9098 [1 per cell]  4 O 1.63-1.64
P: 0.9997 0.2942 0.2405 [1 per cell]  4 O 1.48-1.59
P: 0.0052 0.7037 0.7400 [1 per cell]  4 O 1.49-1.58
P: 0.0523 0.6210 0.4083 [1 per cell]  4 O 1.52-1.56
P: 0.2928 0.0040 0.7403 [1 per cell]  4 O 1.49-1.58
P: 0.2941 0.7062 0.2407 [1 per cell]  4 O 1.48-1.60
P: 0.3910 0.9507 0.0706 [1 per cell]  4 O 1.50-1.58
P: 0.3917 0.6575 0.5712 [1 per cell]  4 O 1.50-1.57
P: 0.6209 0.0532 0.9094 [1 per cell]  4 O 1.53-1.55
P: 0.6221 0.3258 0.4081 [1 per cell]  4 O 1.52-1.56
P: 0.6609 0.9494 0.5711 [1 per cell]  4 O 1.50-1.59
P: 0.6616 0.3892 0.0705 [1 per cell]  4 O 1.50-1.58
P: 0.7054 0.2893 0.7397 [1 per cell]  4 O 1.49-1.58
P: 0.7092 0.9986 0.2404 [1 per cell]  4 O 1.48-1.58
P: 0.9494 0.6621 0.0710 [1 per cell]  4 O 1.50-1.57
P: 0.9517 0.3901 0.5714 [1 per cell]  4 O 1.50-1.59
O: 0.0256 0.1590 0.8969 [1 per cell]  1 Si 1.64
O: 0.0288 0.8044 0.3992 [1 per cell]  1 P 1.55
O: 0.0499 0.7622 0.6849 [1 per cell]  1 P 1.49
O: 0.0516 0.1839 0.1877 [1 per cell]  1 P 1.48
O: 0.1277 0.4872 0.0668 [1 per cell]  1 P 1.57
O: 0.1333 0.3845 0.5672 [1 per cell]  1 P 1.59
O: 0.1381 0.5067 0.3554 [1 per cell]  1 P 1.52
O: 0.1451 0.3525 0.8532 [1 per cell]  1 Si 1.63
O: 0.1473 0.3309 0.2590 [1 per cell]  1 P 1.56
O: 0.1540 0.5153 0.7536 [1 per cell]  1 P 1.56
O: 0.1542 0.8115 0.8966 [1 per cell]  1 Si 1.64
O: 0.1548 0.0287 0.3982 [1 per cell]  1 Si 1.64
O: 0.1682 0.5374 0.4631 [1 per cell]  1 P 1.56
O: 0.1776 0.2891 0.9665 [1 per cell]  1 Si 1.63
O: 0.1848 0.7659 0.1876 [1 per cell]  1 P 1.48
O: 0.1886 0.0498 0.6856 [1 per cell]  1 P 1.49
O: 0.1991 0.8329 0.2945 [1 per cell]  1 P 1.60
O: 0.1995 0.9747 0.7935 [1 per cell]  1 P 1.57
O: 0.2129 0.9712 0.0705 [1 per cell]  1 P 1.50
O: 0.2150 0.8161 0.5691 [1 per cell]  1 P 1.50
O: 0.2952 0.5286 0.9658 [1 per cell]  1 Si 1.63
O: 0.2970 0.1738 0.4655 [1 per cell]  1 Si 1.65
O: 0.3277 0.5252 0.2605 [1 per cell]  1 P 1.55
O: 0.3359 0.1488 0.7548 [1 per cell]  1 P 1.55
O: 0.3557 0.1443 0.3535 [1 per cell]  1 Si 1.61
O: 0.3601 0.5003 0.8526 [1 per cell]  1 Si 1.63
O: 0.3836 0.4848 0.5667 [1 per cell]  1 P 1.57
O: 0.3893 0.1266 0.0658 [1 per cell]  1 P 1.56
O: 0.4743 0.6932 0.2328 [1 per cell]  1 P 1.56
O: 0.4739 0.8327 0.7318 [1 per cell]  1 P 1.58
O: 0.4879 0.1324 0.5666 [1 per cell]  1 P 1.59
O: 0.4903 0.3822 0.0653 [1 per cell]  1 P 1.56
O: 0.4918 0.8429 0.0172 [1 per cell]  1 P 1.54
O: 0.4926 0.6500 0.9180 [1 per cell]  1 Si 1.63
O: 0.4953 0.6586 0.5168 [1 per cell]  1 P 1.55
O: 0.4965 0.8585 0.1277 [1 per cell]  1 P 1.58
O: 0.4973 0.6414 0.6275 [1 per cell]  1 P 1.56
O: 0.4966 0.8567 0.4180 [1 per cell]  1 Si 1.63
O: 0.5067 0.3597 0.3550 [1 per cell]  1 P 1.52
O: 0.5080 0.1352 0.8550 [1 per cell]  1 P 1.54
O: 0.5186 0.3271 0.7534 [1 per cell]  1 P 1.55
O: 0.5261 0.1509 0.2583 [1 per cell]  1 P 1.56
O: 0.5345 0.2987 0.4628 [1 per cell]  1 P 1.56
O: 0.5407 0.1684 0.9632 [1 per cell]  1 P 1.53
O: 0.6423 0.8623 0.6276 [1 per cell]  1 P 1.56
O: 0.6432 0.8711 0.9171 [1 per cell]  1 P 1.54
O: 0.6452 0.4962 0.1274 [1 per cell]  1 P 1.58
O: 0.6482 0.4839 0.4174 [1 per cell]  1 P 1.55
O: 0.6628 0.8450 0.5168 [1 per cell]  1 P 1.55
O: 0.6688 0.4909 0.0170 [1 per cell]  1 P 1.54
O: 0.6912 0.4731 0.7315 [1 per cell]  1 P 1.58
O: 0.6910 0.8341 0.2325 [1 per cell]  1 P 1.56
O: 0.7664 0.1875 0.6846 [1 per cell]  1 P 1.49
O: 0.7700 0.0464 0.1871 [1 per cell]  1 P 1.48
O: 0.8025 0.1619 0.3993 [1 per cell]  1 P 1.55
O: 0.8034 0.0310 0.8975 [1 per cell]  1 P 1.55
O: 0.8182 0.9703 0.5691 [1 per cell]  1 P 1.50
O: 0.8212 0.2123 0.0704 [1 per cell]  1 P 1.50
O: 0.8258 0.1986 0.7930 [1 per cell]  1 P 1.56
O: 0.8323 0.4742 0.2326 [1 per cell]  1 P 1.56
O: 0.8316 0.9682 0.2944 [1 per cell]  1 P 1.58
O: 0.8362 0.6893 0.7314 [1 per cell]  1 P 1.58
O: 0.8428 0.6693 0.0176 [1 per cell]  1 P 1.53
O: 0.8487 0.4916 0.5171 [1 per cell]  1 P 1.54
O: 0.8591 0.6462 0.1280 [1 per cell]  1 P 1.57
O: 0.8619 0.4981 0.9181 [1 per cell]  1 Si 1.62
O: 0.8627 0.4954 0.6278 [1 per cell]  1 P 1.56
O: 0.8713 0.6397 0.4175 [1 per cell]  1 P 1.55
O: 0.9693 0.1996 0.2945 [1 per cell]  1 P 1.59
O: 0.9730 0.8180 0.0709 [1 per cell]  1 P 1.50
O: 0.9753 0.8241 0.7930 [1 per cell]  1 P 1.55
O: 0.9755 0.2109 0.5697 [1 per cell]  1 P 1.50

Computed properties:
The value obtained for the volume is 1566.8 Å³ per cell. For the calculated formation energy, the calculation gives -2931 meV per atom.



Record 2
## Nd3AlSi5N10O (PBE)

Data for a geometry-optimized Nd3AlSi5N10O structure.

Cell lengths 14.3595, 14.4590, 4.9152 Å; angles 90.00, 90.00, 90.00 degrees
With the nearest neighbours (Å) after each atom.
Space group Pba2 (No. 32)
Symmetry-distinct sites (fractional):
Nd: 0.0037 0.1872 0.0000 [4 per cell]  2 N 2.39-2.49
Nd: 0.1894 0.5003 0.0050 [4 per cell]  3 N 2.38-2.63
Nd: 0.2500 0.2470 0.0284 [4 per cell]  8 N 2.57-2.72
Al: 0.1776 0.1041 0.4708 [4 per cell]  4 N 1.85-1.91
Si: 0.0006 0.3834 0.9571 [4 per cell]  1 O 1.70, 3 N 1.71-1.74
Si: 0.1059 0.6771 0.4646 [4 per cell]  4 N 1.71-1.81
Si: 0.1076 0.3209 0.4665 [4 per cell]  4 N 1.72-1.81
Si: 0.1164 0.9974 0.9616 [4 per cell]  1 O 1.69, 3 N 1.71-1.73
Si: 0.1779 0.8895 0.4662 [4 per cell]  4 N 1.74-1.76
N: 0.0014 0.3593 0.3045 [4 per cell]  3 Si 1.74-1.81
N: 0.0966 0.6666 0.8183 [4 per cell]  2 Si 1.71-1.75
N: 0.0991 0.3349 0.8201 [4 per cell]  2 Si 1.72-1.75
N: 0.1152 0.2086 0.3550 [4 per cell]  1 Si 1.72, 1 Al 1.85
N: 0.1179 0.7922 0.3568 [4 per cell]  2 Si 1.74-1.75
N: 0.1399 0.9908 0.3043 [4 per cell]  2 Si 1.72-1.75, 1 Al 1.91
N: 0.1653 0.0979 0.8480 [4 per cell]  1 Si 1.71, 1 Al 1.86
N: 0.1662 0.8999 0.8186 [4 per cell]  2 Si 1.73-1.75
N: 0.1991 0.6153 0.3493 [4 per cell]  1 Si 1.71, 1 Al 1.88
N: 0.2057 0.3804 0.3572 [4 per cell]  2 Si 1.74-1.76
O: 0.0000 0.0000 0.9087 [2 per cell]  2 Si 1.69
O: 0.0000 0.5000 0.9164 [2 per cell]  2 Si 1.70

Computed properties:
The value obtained for the volume is 1020.5 Å³ per cell. For the calculated formation energy, the calculation gives -1436 meV per atom.



Record 3
## LiNbP4O12 (PBE)

Data for a geometry-optimized LiNbP4O12 structure.

Cell lengths 7.1810, 8.3213, 7.7090 Å; angles 90.00, 93.91, 90.00 degrees
With the nearest neighbours (Å) after each atom.
Space group P2_1 (No. 4)
Symmetry-distinct sites (fractional):
Li: 0.1592 0.0000 0.3561 [2 per cell]  3 O 1.88-1.98
Nb: 0.2492 0.3928 0.7768 [2 per cell]  7 O 2.18-2.42
P: 0.0796 0.0036 0.9005 [2 per cell]  4 O 1.50-1.62
P: 0.1221 0.6253 0.4099 [2 per cell]  4 O 1.51-1.60
P: 0.4145 0.7855 0.8953 [2 per cell]  4 O 1.50-1.60
P: 0.4934 0.4887 0.4168 [2 per cell]  4 O 1.49-1.63
O: 0.0410 0.7854 0.3537 [2 per cell]  1 P 1.51
O: 0.0430 0.4795 0.9524 [2 per cell]  1 P 1.50
O: 0.0430 0.4856 0.2824 [2 per cell]  2 P 1.60-1.62
O: 0.0949 0.5730 0.5948 [2 per cell]  1 P 1.52
O: 0.1940 0.1541 0.9040 [2 per cell]  1 P 1.50
O: 0.2011 0.8436 0.8836 [2 per cell]  2 P 1.60
O: 0.3162 0.0589 0.5510 [2 per cell]  1 P 1.49
O: 0.3386 0.6293 0.3759 [2 per cell]  2 P 1.59-1.63
O: 0.4123 0.6176 0.8233 [2 per cell]  1 P 1.50
O: 0.4212 0.3801 0.5515 [2 per cell]  1 P 1.50
O: 0.4764 0.4015 0.2291 [2 per cell]  2 P 1.60-1.62
O: 0.4948 0.8162 0.0773 [2 per cell]  1 P 1.50

Computed properties:
The value obtained for the volume is 459.6 Å³ per cell. For the calculated formation energy, the calculation gives -2551 meV per atom.



Record 4
## MgCu2 (PBE)

Data for a geometry-optimized MgCu2 structure.

Cell lengths 7.0190, 7.0190, 7.0190 Å; angles 90.00, 90.00, 90.00 degrees
With the nearest neighbours (Å) after each atom.
Space group Fd-3m (No. 227, origin choice 2)
Symmetry-distinct sites (fractional):
Mg: 0.1250 0.1250 0.1250 [8 per cell]  12 Cu 2.91, 4 Mg 3.04
Cu: 0.0000 0.0000 0.5000 [16 per cell]  6 Cu 2.48

Computed properties:
The value obtained for the volume is 345.8 Å³ per cell. For the calculated formation energy, the calculation gives -143 meV per atom.



Record 5
## HoH9C5N2O8 (PBE)

Data for a geometry-optimized HoH9C5N2O8 structure.

Cell lengths 6.7609, 18.4309, 8.6061 Å; angles 90.00, 90.00, 90.00 degrees
With the nearest neighbours (Å) after each atom.
Space group C222_1 (No. 20)
Symmetry-distinct sites (fractional):
Ho: 0.0000 0.1423 0.2500 [4 per cell]  8 O 2.29-2.46
H: 0.0000 0.3143 0.7500 [4 per cell]  1 C 1.11
H: 0.0000 0.3454 0.2500 [4 per cell]  1 C 1.10
H: 0.1518 0.4936 0.3286 [8 per cell]  1 N 1.03
H: 0.2129 0.2891 0.0577 [8 per cell]  1 C 1.11
H: 0.2334 0.0000 0.5000 [4 per cell]  1 C 1.11
H: 0.2337 0.4073 0.3962 [8 per cell]  1 N 1.03
C: 0.0000 0.3745 0.7500 [4 per cell]  1 H 1.11
C: 0.0000 0.4049 0.2500 [4 per cell]  1 H 1.10
C: 0.0693 0.0000 0.5000 [4 per cell]  1 H 1.11
C: 0.2379 0.2438 0.9748 [8 per cell]  1 H 1.11
N: 0.1363 0.4381 0.3326 [8 per cell]  2 H 1.03
O: 0.0195 0.0495 0.0737 [8 per cell]  1 C 1.26
O: 0.1649 0.4066 0.7649 [8 per cell]  1 C 1.27
O: 0.1743 0.2420 0.3481 [8 per cell]  1 C 1.27
O: 0.1773 0.1814 0.0143 [8 per cell]  1 C 1.27

Computed properties:
The value obtained for the volume is 1072.4 Å³ per cell. For the calculated formation energy, the calculation gives -1237 meV per atom.



Record 6
## LiGd6In2O12 (PBE)

Data for a geometry-optimized LiGd6In2O12 structure.

Cell lengths 9.8887, 9.8887, 11.1460 Å; angles 90.00, 90.00, 120.00 degrees
With the nearest neighbours (Å) after each atom.
Space group R3 (No. 146, hexagonal axes)
Symmetry-distinct sites (fractional):
Li: 0.0000 0.0000 0.0000 [3 per cell]  6 O 2.24-2.35
Gd: 0.0467 0.7627 0.9102 [9 per cell]  6 O 2.30-2.39
Gd: 0.1029 0.4020 0.1752 [9 per cell]  6 O 2.25-2.49
In: 0.0000 0.0000 0.2331 [3 per cell]  6 O 2.22-2.36
In: 0.0000 0.0000 0.7163 [3 per cell]  6 O 2.22-2.23
O: 0.0212 0.8381 0.5895 [9 per cell]  1 In 2.22, 3 Gd 2.31-2.39
O: 0.0327 0.8268 0.1064 [9 per cell]  1 Li 2.24, 3 Gd 2.30-2.49, 1 In 2.36
O: 0.1393 0.4483 0.9767 [9 per cell]  1 In 2.22, 3 Gd 2.25-2.39
O: 0.1805 0.0303 0.8504 [9 per cell]  1 In 2.23, 1 Li 2.35, 3 Gd 2.36-2.39

Computed properties:
The value obtained for the volume is 943.9 Å³ per cell. For the calculated formation energy, the calculation gives -3206 meV per atom.



Record 7
## Li2NbO3 (PBE)

Data for a geometry-optimized Li2NbO3 structure.

Cell lengths 5.3874, 8.8583, 5.2050 Å; angles 90.00, 111.98, 90.00 degrees
With the nearest neighbours (Å) after each atom.
Space group C2/c (No. 15)
Symmetry-distinct sites (fractional):
Li: 0.0000 0.0801 0.2500 [4 per cell]  6 O 2.07-2.25
Li: 0.0000 0.2371 0.7500 [4 per cell]  6 O 2.04-2.20
Nb: 0.0000 0.4157 0.2500 [4 per cell]  6 O 2.07-2.14
O: 0.2403 0.4194 0.0038 [8 per cell]  4 Li 2.04-2.25, 2 Nb 2.07-2.14
O: 0.2500 0.2500 0.5000 [4 per cell]  2 Nb 2.09, 4 Li 2.11-2.20

Computed properties:
The value obtained for the volume is 230.3 Å³ per cell. For the calculated formation energy, the calculation gives -2607 meV per atom.



Record 8
## TbUTe6 (PBE)

Data for a geometry-optimized TbUTe6 structure.

Cell lengths 4.3888, 4.3870, 25.4380 Å; angles 90.00, 90.00, 90.00 degrees
With the nearest neighbours (Å) after each atom.
Space group Amm2 (No. 38)
Symmetry-distinct sites (fractional):
Tb: 0.0000 0.0000 0.0000 [2 per cell]  9 Te 3.26-3.29
U: 0.5000 0.0000 0.3337 [2 per cell]  9 Te 3.19-3.24
Te: 0.0000 0.0000 0.2426 [2 per cell]  4 Te 3.10, 2 U 3.19
Te: 0.0000 0.0000 0.5957 [2 per cell]  4 Te 3.10, 2 Tb 3.28
Te: 0.0000 0.0000 0.8710 [2 per cell]  4 U 3.24, 1 Tb 3.28
Te: 0.5000 0.0000 0.0962 [2 per cell]  4 Te 3.10, 2 Tb 3.29
Te: 0.5000 0.0000 0.4605 [2 per cell]  1 U 3.22, 4 Tb 3.26
Te: 0.5000 0.0000 0.7427 [2 per cell]  4 Te 3.10, 2 U 3.19

Computed properties:
The value obtained for the volume is 489.8 Å³ per cell. For the calculated formation energy, the calculation gives -1047 meV per atom.